(1)
! Na5LiMn2P2C2O14, optimized geometry, DFT PBE+U; values from VASP
! VASP energy (eV per atom): -6.70
! Energy relative to the elements (eV per atom): -2.371
! Polymorph energy (0 for the lowest one) (eV per atom): 0.002
&SYSTEM
  ibrav = 0, nat = 52, ntyp = 6
/
ATOMIC_SPECIES
Na 22.99 Na.upf
C 12.01 C.upf
O 16.00 O.upf
P 30.97 P.upf
Mn 54.94 Mn.upf
Li 6.94 Li.upf
ATOMIC_POSITIONS crystal
Na 0.243 0.339 0.421
Na 0.243 0.839 0.921
Na 0.752 0.369 0.628
Na 0.755 0.159 0.076
Na 0.752 0.869 0.128
Na 0.755 0.659 0.576
Na 0.754 0.122 0.382
Na 0.754 0.622 0.882
Na 0.251 0.879 0.624
Na 0.251 0.379 0.124
C 0.734 0.404 0.345
C 0.734 0.904 0.845
C 0.261 0.592 0.647
C 0.261 0.092 0.147
O 0.709 0.831 0.915
O 0.533 0.451 0.306
O 0.183 0.595 0.172
O 0.038 0.062 0.181
O 0.821 0.911 0.342
O 0.709 0.331 0.415
O 0.467 0.055 0.192
O 0.821 0.197 0.876
O 0.467 0.555 0.692
O 0.215 0.617 0.949
O 0.961 0.931 0.813
O 0.279 0.159 0.069
O 0.409 0.324 0.901
O 0.822 0.697 0.376
O 0.533 0.951 0.806
O 0.279 0.659 0.569
O 0.774 0.378 0.059
O 0.961 0.431 0.313
O 0.774 0.878 0.559
O 0.409 0.824 0.401
O 0.216 0.306 0.627
O 0.599 0.162 0.594
O 0.038 0.562 0.681
O 0.183 0.095 0.672
O 0.217 0.806 0.127
O 0.215 0.117 0.449
O 0.599 0.662 0.094
O 0.821 0.412 0.841
P 0.708 0.329 0.919
P 0.300 0.169 0.587
P 0.300 0.669 0.087
P 0.709 0.829 0.419
Mn 0.224 0.444 0.805
Mn 0.779 0.055 0.699
Mn 0.224 0.944 0.305
Mn 0.779 0.555 0.199
Li 0.212 0.159 0.872
Li 0.213 0.659 0.372
CELL_PARAMETERS angstrom
-5.192 0.345 0.283
-0.683 -1.060 -11.268
-0.422 -10.406 4.064

---

(2)
! NaLi2MnPCO7, optimized geometry, DFT PBE+U; values from VASP
! VASP energy (eV per atom): -6.79
! Maximum piezoelectric response (C/m²): 1.72
! Energy relative to the elements (eV per atom): -2.401
! Polymorph energy (0 for the lowest one) (eV per atom): 0.009
&SYSTEM
  ibrav = 0, nat = 52, ntyp = 6
/
ATOMIC_SPECIES
O 16.00 O.upf
Li 6.94 Li.upf
P 30.97 P.upf
Na 22.99 Na.upf
C 12.01 C.upf
Mn 54.94 Mn.upf
ATOMIC_POSITIONS crystal
O 0.955 0.224 0.425
O 0.210 0.427 0.900
O 0.652 0.382 0.933
O 0.177 0.410 0.574
O 0.884 0.322 0.691
O 0.043 0.119 0.683
O 0.641 0.901 0.153
O 0.152 0.882 0.933
O 0.868 0.098 0.067
O 0.526 0.295 0.575
O 0.141 0.401 0.153
O 0.132 0.707 0.317
O 0.840 0.573 0.426
O 0.849 0.609 0.847
O 0.677 0.910 0.574
O 0.631 0.207 0.317
O 0.384 0.822 0.691
O 0.349 0.109 0.847
O 0.455 0.724 0.425
O 0.543 0.619 0.683
O 0.026 0.795 0.575
O 0.368 0.598 0.067
O 0.323 0.040 0.100
O 0.823 0.541 0.100
O 0.710 0.927 0.900
O 0.928 0.866 0.309
O 0.340 0.073 0.426
O 0.428 0.366 0.309
Li 0.852 0.390 0.279
Li 0.500 0.737 0.897
Li 0.000 0.237 0.897
Li 0.513 0.250 0.103
Li 0.352 0.890 0.279
Li 0.360 0.398 0.721
Li 0.013 0.750 0.103
Li 0.860 0.898 0.721
P 0.013 0.268 0.590
P 0.513 0.768 0.590
P 0.482 0.237 0.410
P 0.982 0.737 0.410
Na 0.619 0.122 0.755
Na 0.128 0.131 0.245
Na 0.628 0.631 0.245
Na 0.119 0.622 0.755
C 0.274 0.009 0.961
C 0.774 0.509 0.961
C 0.241 0.476 0.039
C 0.741 0.976 0.039
Mn 0.761 0.019 0.351
Mn 0.231 0.990 0.649
Mn 0.731 0.489 0.649
Mn 0.261 0.519 0.351
CELL_PARAMETERS angstrom
0.132 6.772 5.074
0.132 -6.772 5.074
8.683 0.000 0.254

---

(3)
! NaLi2MnPCO7, optimized geometry, DFT PBE+U; values from VASP
! VASP energy (eV per atom): -6.78
! Energy relative to the elements (eV per atom): -2.388
! Polymorph energy (0 for the lowest one) (eV per atom): 0.022
&SYSTEM
  ibrav = 0, nat = 52, ntyp = 6
/
ATOMIC_SPECIES
Na 22.99 Na.upf
Li 6.94 Li.upf
Mn 54.94 Mn.upf
P 30.97 P.upf
C 12.01 C.upf
O 16.00 O.upf
ATOMIC_POSITIONS crystal
Na 0.000 0.000 0.000
Na 0.002 0.496 0.751
Na 0.499 0.497 0.249
Na 0.753 0.664 0.502
Li 0.019 0.014 0.507
Li 0.247 0.834 0.250
Li 0.264 0.835 0.748
Li 0.481 0.015 0.508
Li 0.487 0.013 0.008
Li 0.517 0.480 0.745
Li 0.740 0.666 0.001
Li 0.982 0.481 0.239
Mn 0.248 0.390 0.013
Mn 0.253 0.390 0.511
Mn 0.745 0.102 0.237
Mn 0.751 0.104 0.734
P 0.245 0.151 0.273
P 0.260 0.154 0.770
P 0.741 0.342 0.976
P 0.755 0.333 0.474
C 0.250 0.707 0.491
C 0.261 0.703 0.989
C 0.739 0.800 0.763
C 0.759 0.794 0.254
O 0.062 0.051 0.230
O 0.069 0.064 0.725
O 0.233 0.318 0.221
O 0.249 0.853 0.466
O 0.250 0.607 0.393
O 0.251 0.602 0.892
O 0.251 0.659 0.613
O 0.252 0.658 0.112
O 0.254 0.163 0.429
O 0.268 0.166 0.925
O 0.269 0.321 0.718
O 0.278 0.847 0.962
O 0.429 0.061 0.220
O 0.434 0.053 0.717
O 0.563 0.444 0.022
O 0.569 0.426 0.522
O 0.724 0.652 0.778
O 0.733 0.177 0.031
O 0.737 0.328 0.821
O 0.745 0.888 0.355
O 0.745 0.891 0.867
O 0.747 0.846 0.134
O 0.751 0.164 0.523
O 0.751 0.860 0.646
O 0.762 0.327 0.320
O 0.782 0.648 0.271
O 0.931 0.434 0.021
O 0.939 0.424 0.527
CELL_PARAMETERS angstrom
6.703 0.000 0.000
-0.053 8.689 0.000
-0.010 -0.207 10.081

---

(4)
! Na5LiMn2P2C2O14, optimized geometry, DFT PBE+U; values from VASP
! VASP energy (eV per atom): -6.69
! Energy relative to the elements (eV per atom): -2.369
! Polymorph energy (0 for the lowest one) (eV per atom): 0.004
&SYSTEM
  ibrav = 0, nat = 52, ntyp = 6
/
ATOMIC_SPECIES
Na 22.99 Na.upf
Li 6.94 Li.upf
Mn 54.94 Mn.upf
P 30.97 P.upf
C 12.01 C.upf
O 16.00 O.upf
ATOMIC_POSITIONS crystal
Na 0.083 0.000 0.371
Na 0.084 0.004 0.870
Na 0.256 0.751 0.626
Na 0.258 0.249 0.127
Na 0.259 0.750 0.126
Na 0.741 0.250 0.874
Na 0.742 0.749 0.873
Na 0.744 0.251 0.374
Na 0.916 0.504 0.130
Na 0.917 0.500 0.629
Li 0.274 0.232 0.635
Li 0.726 0.732 0.365
Mn 0.360 0.497 0.364
Mn 0.363 0.497 0.857
Mn 0.637 0.997 0.143
Mn 0.640 0.997 0.636
P 0.413 0.998 0.402
P 0.413 0.999 0.896
P 0.587 0.498 0.598
P 0.587 0.499 0.104
C 0.055 0.507 0.383
C 0.061 0.499 0.882
C 0.939 0.999 0.118
C 0.945 0.007 0.617
O 0.083 0.999 0.107
O 0.089 0.024 0.608
O 0.118 0.499 0.270
O 0.123 0.500 0.769
O 0.138 0.496 0.485
O 0.145 0.497 0.984
O 0.318 0.814 0.365
O 0.320 0.181 0.850
O 0.321 0.813 0.856
O 0.329 0.182 0.350
O 0.423 0.014 0.552
O 0.426 0.481 0.653
O 0.429 0.003 0.046
O 0.430 0.501 0.165
O 0.570 0.001 0.835
O 0.571 0.503 0.954
O 0.574 0.981 0.347
O 0.577 0.514 0.448
O 0.671 0.682 0.650
O 0.679 0.313 0.144
O 0.680 0.681 0.150
O 0.682 0.314 0.635
O 0.855 0.997 0.016
O 0.862 0.996 0.515
O 0.877 0.000 0.231
O 0.882 0.999 0.730
O 0.911 0.524 0.392
O 0.917 0.499 0.893
CELL_PARAMETERS angstrom
8.982 0.000 0.000
0.000 6.762 0.000
-0.008 0.000 10.387